[1]
DFT (PBE) results for a relaxed structure of ZnSb2P2O10.

Results
- Corrected total energy (MP2020 scheme): -6.77 eV per atom
- DFT formation energy: -2.114 eV per atom
- VASP energy: -6.31 eV/atom

Lattice parameters (Å, degrees): 12.5287 16.2247 7.9305 90.00 90.00 90.00
With the nearest neighbours (Å) after each atom.
Space group Fdd2 (No. 43)
Asymmetric unit:
Zn1 0.0000 0.0000 0.0000 [8 per cell]  4 O 2.01-2.05
Sb1 0.1203 0.3532 0.8489 [16 per cell]  4 O 1.95-2.06
P1 0.0188 0.3144 0.4462 [16 per cell]  4 O 1.52-1.58
O1 0.0069 0.4091 0.9731 [16 per cell]  2 Sb 1.95-1.99
O2 0.0085 0.1034 0.8518 [16 per cell]  1 P 1.57
O3 0.0282 0.3389 0.6358 [16 per cell]  1 P 1.56
O4 0.0852 0.2401 0.9353 [16 per cell]  1 P 1.58
O5 0.1147 0.2663 0.3820 [16 per cell]  1 P 1.52

***

[2]
DFT (PBE) results for a relaxed structure of ScP2O7.

Results
- Corrected total energy (MP2020 scheme): -8.06 eV per atom
- DFT formation energy: -2.877 eV per atom
- VASP energy: -7.58 eV/atom

Lattice parameters (Å, degrees): 5.1019 8.4039 7.2330 90.00 110.54 90.00
With the nearest neighbours (Å) after each atom.
Space group P2_1 (No. 4)
Asymmetric unit:
Sc1 0.2080 0.0000 0.2212 [2 per cell]  6 O 2.09-2.12
P1 0.2058 0.2765 0.5796 [2 per cell]  4 O 1.52-1.62
P2 0.4087 0.6713 0.0338 [2 per cell]  4 O 1.52-1.62
O1 0.0448 0.8282 0.3656 [2 per cell]  1 P 1.53
O2 0.1265 0.1877 0.3846 [2 per cell]  1 P 1.52
O3 0.1961 0.5351 0.9885 [2 per cell]  1 P 1.53
O4 0.2668 0.8325 0.0233 [2 per cell]  1 P 1.52
O5 0.3833 0.1462 0.7409 [2 per cell]  2 P 1.62
O6 0.3928 0.4218 0.5876 [2 per cell]  1 P 1.54
O7 0.4137 0.1606 0.0978 [2 per cell]  1 P 1.53

***

[3]
DFT (PBE) results for a relaxed structure of ScTa3P6O24.

Results
- Corrected total energy (MP2020 scheme): -8.75 eV per atom
- DFT formation energy: -3.069 eV per atom
- VASP energy: -8.26 eV/atom

Lattice parameters (Å, degrees): 8.7982 8.7982 22.6779 90.00 90.00 120.00
With the nearest neighbours (Å) after each atom.
Space group P3 (No. 143)
Asymmetric unit:
Sc1 0.0000 0.0000 0.0000 [1 per cell]  6 O 2.02-2.12
Sc2 0.0000 0.0000 0.4986 [1 per cell]  6 O 2.08-2.10
Sc3 0.3333 0.6667 0.1670 [1 per cell]  6 O 2.05-2.08
Ta1 0.0000 0.0000 0.2839 [1 per cell]  6 O 1.95-2.04
Ta2 0.0000 0.0000 0.7877 [1 per cell]  6 O 1.97-2.02
Ta3 0.3333 0.6667 0.4497 [1 per cell]  6 O 1.95-2.04
Ta4 0.3333 0.6667 0.6655 [1 per cell]  6 O 1.96-2.00
Ta5 0.3333 0.6667 0.9560 [1 per cell]  6 O 1.94-2.05
Ta6 0.6667 0.3333 0.1167 [1 per cell]  6 O 1.95-2.03
Ta7 0.6667 0.3333 0.3307 [1 per cell]  6 O 1.95-1.98
Ta8 0.6667 0.3333 0.6167 [1 per cell]  6 O 1.95-2.03
Ta9 0.6667 0.3333 0.8330 [1 per cell]  6 O 1.93-2.03
P1 0.0027 0.7145 0.8927 [3 per cell]  4 O 1.48-1.58
P2 0.0478 0.3810 0.0606 [3 per cell]  4 O 1.50-1.60
P3 0.0507 0.6668 0.5588 [3 per cell]  4 O 1.49-1.57
P4 0.2850 0.0017 0.3923 [3 per cell]  4 O 1.50-1.58
P5 0.3821 0.0505 0.7252 [3 per cell]  4 O 1.53-1.55
P6 0.3824 0.3321 0.2253 [3 per cell]  4 O 1.49-1.57
O1 0.0199 0.2010 0.0487 [3 per cell]  1 P 1.50
O2 0.0290 0.8240 0.5533 [3 per cell]  1 P 1.49
O3 0.0291 0.8311 0.8362 [3 per cell]  1 P 1.58
O4 0.0318 0.1994 0.3375 [3 per cell]  1 P 1.55
O5 0.1283 0.6389 0.2204 [3 per cell]  1 P 1.49
O6 0.1334 0.4938 0.7150 [3 per cell]  1 P 1.55
O7 0.1354 0.5020 0.0038 [3 per cell]  1 P 1.60
O8 0.1357 0.6325 0.5046 [3 per cell]  1 P 1.55
O9 0.1578 0.4656 0.1142 [3 per cell]  1 P 1.50
O10 0.1639 0.4706 0.4019 [3 per cell]  1 P 1.58
O11 0.1640 0.6858 0.6144 [3 per cell]  1 P 1.56
O12 0.1646 0.6921 0.8997 [3 per cell]  1 P 1.54
O13 0.1991 0.0286 0.7359 [3 per cell]  1 P 1.54
O14 0.2010 0.1625 0.2368 [3 per cell]  1 P 1.57
O15 0.2112 0.0362 0.4472 [3 per cell]  1 P 1.50
O16 0.2125 0.1739 0.9454 [3 per cell]  1 P 1.49
O17 0.4680 0.2979 0.1710 [3 per cell]  1 P 1.55
O18 0.4688 0.1667 0.6706 [3 per cell]  1 P 1.54
O19 0.4711 0.1567 0.3797 [3 per cell]  1 P 1.55
O20 0.4709 0.3131 0.8774 [3 per cell]  1 P 1.57
O21 0.4961 0.3515 0.2805 [3 per cell]  1 P 1.56
O22 0.4987 0.1353 0.7793 [3 per cell]  1 P 1.53
O23 0.5029 0.3716 0.5702 [3 per cell]  1 P 1.57
O24 0.5054 0.1357 0.0680 [3 per cell]  1 P 1.58

***

[4]
DFT (PBE) results for a relaxed structure of P4SeO6.

Results
- Corrected total energy (MP2020 scheme): -6.78 eV per atom
- DFT formation energy: -1.800 eV per atom
- VASP energy: -6.41 eV/atom

Lattice parameters (Å, degrees): 10.9871 6.7563 12.3781 90.00 109.84 90.00
With the nearest neighbours (Å) after each atom.
Space group P2_1/c (No. 14)
Asymmetric unit:
P1 0.0698 0.2436 0.4523 [4 per cell]  3 O 1.65-1.70
P2 0.1654 0.0365 0.7895 [4 per cell]  3 O 1.65-1.69
P3 0.2928 0.5101 0.5373 [4 per cell]  3 O 1.62-1.63
P4 0.3225 0.1356 0.4286 [4 per cell]  3 O 1.67-1.70
Se1 0.3873 0.7065 0.6652 [4 per cell]  1 P 2.06
O1 0.0488 0.1331 0.8309 [4 per cell]  2 P 1.66-1.67
O2 0.1615 0.0876 0.0466 [4 per cell]  2 P 1.63-1.70
O3 0.1837 0.0854 0.4503 [4 per cell]  2 P 1.65-1.67
O4 0.2434 0.5986 0.4076 [4 per cell]  2 P 1.63-1.69
O5 0.2656 0.2260 0.8105 [4 per cell]  2 P 1.65-1.67
O6 0.3767 0.1815 0.0271 [4 per cell]  2 P 1.62-1.70

***

[5]
DFT (PBE) results for a relaxed structure of P4Se3O6.

Results
- Corrected total energy (MP2020 scheme): -6.29 eV per atom
- DFT formation energy: -1.534 eV per atom
- VASP energy: -5.97 eV/atom

Lattice parameters (Å, degrees): 13.2927 8.8946 10.2614 90.00 90.37 90.00
With the nearest neighbours (Å) after each atom.
Space group P2_1/c (No. 14)
Asymmetric unit:
P1 0.1332 0.0191 0.3301 [4 per cell]  3 O 1.62-1.64
P2 0.2039 0.0620 0.5993 [4 per cell]  3 O 1.68
P3 0.2636 0.7039 0.9489 [4 per cell]  3 O 1.62-1.64
P4 0.3433 0.0884 0.3787 [4 per cell]  3 O 1.62-1.65
Se1 0.0172 0.0507 0.2017 [4 per cell]  1 P 2.04
Se2 0.2972 0.5728 0.4580 [4 per cell]  1 P 2.04
Se3 0.4646 0.1986 0.3058 [4 per cell]  1 P 2.03
O1 0.1177 0.0763 0.4788 [4 per cell]  2 P 1.62-1.68
O2 0.1697 0.6554 0.8527 [4 per cell]  2 P 1.64
O3 0.2333 0.6209 0.0839 [4 per cell]  2 P 1.62-1.68
O4 0.2394 0.1007 0.2909 [4 per cell]  2 P 1.64-1.65
O5 0.3031 0.1372 0.5217 [4 per cell]  2 P 1.62-1.68
O6 0.3537 0.5949 0.8943 [4 per cell]  2 P 1.64

***

[6]
DFT (PBE) results for a relaxed structure of P4SeO7.

Results
- Corrected total energy (MP2020 scheme): -6.95 eV per atom
- DFT formation energy: -1.964 eV per atom
- VASP energy: -6.54 eV/atom

Lattice parameters (Å, degrees): 7.2095 7.4426 8.6935 93.87 103.89 95.23
With the nearest neighbours (Å) after each atom.
Space group P-1 (No. 2)
Asymmetric unit:
P1 0.1074 0.2692 0.2677 [2 per cell]  3 O 1.65-1.70
P2 0.2073 0.0174 0.8563 [2 per cell]  4 O 1.46-1.62
P3 0.2391 0.7566 0.6091 [2 per cell]  3 O 1.62-1.65
P4 0.2682 0.6488 0.9320 [2 per cell]  3 O 1.66-1.70
Se1 0.3434 0.7226 0.4117 [2 per cell]  1 P 2.04
O1 0.0090 0.7136 0.5851 [2 per cell]  2 P 1.62-1.69
O2 0.0172 0.0528 0.1937 [2 per cell]  2 P 1.60-1.70
O3 0.0311 0.6215 0.8661 [2 per cell]  2 P 1.65-1.66
O4 0.2555 0.2081 0.9173 [2 per cell]  1 P 1.46
O5 0.2778 0.9649 0.6970 [2 per cell]  2 P 1.62-1.65
O6 0.2997 0.8767 0.9760 [2 per cell]  2 P 1.60-1.70
O7 0.3281 0.6418 0.7559 [2 per cell]  2 P 1.62-1.69

***

[7]
DFT (PBE) results for a relaxed structure of P2SeO3.

Results
- Corrected total energy (MP2020 scheme): -6.52 eV per atom
- DFT formation energy: -1.662 eV per atom
- VASP energy: -6.18 eV/atom

Lattice parameters (Å, degrees): 11.9438 6.8326 12.3661 90.00 90.34 90.00
With the nearest neighbours (Å) after each atom.
Space group P2_1/c (No. 14)
Asymmetric unit:
P1 0.1317 0.2462 0.0755 [4 per cell]  3 O 1.62-1.65
P2 0.2106 0.0333 0.8847 [4 per cell]  3 O 1.66-1.70
P3 0.3221 0.5122 0.5956 [4 per cell]  3 O 1.62-1.64
P4 0.3462 0.1409 0.4792 [4 per cell]  3 O 1.66-1.69
Se1 0.0049 0.6524 0.8426 [4 per cell]  1 P 2.05
Se2 0.4029 0.7041 0.6974 [4 per cell]  1 P 2.05
O1 0.1098 0.1314 0.9630 [4 per cell]  2 P 1.62-1.69
O2 0.2074 0.0856 0.1438 [4 per cell]  2 P 1.64-1.65
O3 0.2250 0.0923 0.5436 [4 per cell]  2 P 1.62-1.69
O4 0.2795 0.5984 0.4808 [4 per cell]  2 P 1.62-1.70
O5 0.2964 0.2247 0.8785 [4 per cell]  2 P 1.66
O6 0.3939 0.1792 0.0615 [4 per cell]  2 P 1.62-1.69

***

[8]
DFT (PBE) results for a relaxed structure of SiP2O7.

Results
- Corrected total energy (MP2020 scheme): -7.87 eV per atom
- Distance to the lowest polymorph of the same formula: 0.003 eV per atom
- DFT formation energy: -2.779 eV per atom
- VASP energy: -7.39 eV/atom

Lattice parameters (Å, degrees): 4.8064 4.8064 12.1063 90.00 90.00 120.00
With the nearest neighbours (Å) after each atom.
Space group P6_3/m (No. 176)
Asymmetric unit:
Si1 0.0000 0.0000 0.0000 [2 per cell]  6 O 1.78
P1 0.3333 0.6667 0.1199 [4 per cell]  4 O 1.52-1.57
O1 0.0742 0.7444 0.0864 [12 per cell]  1 P 1.52
O2 0.3333 0.6667 0.2500 [2 per cell]  2 P 1.57

***

[9]
DFT (PBE) results for a relaxed structure of SiP2O7.

Results
- Corrected total energy (MP2020 scheme): -7.87 eV per atom
- Distance to the lowest polymorph of the same formula: 0.001 eV per atom
- DFT formation energy: -2.781 eV per atom
- VASP energy: -7.39 eV/atom

Lattice parameters (Å, degrees): 4.8055 12.1936 9.0537 90.00 120.93 90.00
With the nearest neighbours (Å) after each atom.
Space group P2_1/c (No. 14)
Asymmetric unit:
Si1 0.1195 0.1480 0.3459 [4 per cell]  6 O 1.76-1.80
P1 0.2796 0.6994 0.5522 [4 per cell]  4 O 1.52-1.61
P2 0.4025 0.0190 0.6967 [4 per cell]  4 O 1.51-1.60
O1 0.0041 0.6880 0.3671 [4 per cell]  1 P 1.52
O2 0.1640 0.5365 0.2371 [4 per cell]  1 P 1.53
O3 0.1772 0.7351 0.1594 [4 per cell]  1 P 1.52
O4 0.2421 0.1094 0.5621 [4 per cell]  1 P 1.53
O5 0.3405 0.5761 0.6259 [4 per cell]  2 P 1.60-1.61
O6 0.4030 0.2403 0.9279 [4 per cell]  1 P 1.52
O7 0.4175 0.0620 0.3502 [4 per cell]  1 P 1.51

***

Please write out number 5 again, unchanged.
DFT (PBE) results for a relaxed structure of P4Se3O6.

Results
- Corrected total energy (MP2020 scheme): -6.29 eV per atom
- DFT formation energy: -1.534 eV per atom
- VASP energy: -5.97 eV/atom

Lattice parameters (Å, degrees): 13.2927 8.8946 10.2614 90.00 90.37 90.00
With the nearest neighbours (Å) after each atom.
Space group P2_1/c (No. 14)
Asymmetric unit:
P1 0.1332 0.0191 0.3301 [4 per cell]  3 O 1.62-1.64
P2 0.2039 0.0620 0.5993 [4 per cell]  3 O 1.68
P3 0.2636 0.7039 0.9489 [4 per cell]  3 O 1.62-1.64
P4 0.3433 0.0884 0.3787 [4 per cell]  3 O 1.62-1.65
Se1 0.0172 0.0507 0.2017 [4 per cell]  1 P 2.04
Se2 0.2972 0.5728 0.4580 [4 per cell]  1 P 2.04
Se3 0.4646 0.1986 0.3058 [4 per cell]  1 P 2.03
O1 0.1177 0.0763 0.4788 [4 per cell]  2 P 1.62-1.68
O2 0.1697 0.6554 0.8527 [4 per cell]  2 P 1.64
O3 0.2333 0.6209 0.0839 [4 per cell]  2 P 1.62-1.68
O4 0.2394 0.1007 0.2909 [4 per cell]  2 P 1.64-1.65
O5 0.3031 0.1372 0.5217 [4 per cell]  2 P 1.62-1.68
O6 0.3537 0.5949 0.8943 [4 per cell]  2 P 1.64